<P>
# Ba2MgNiMoO6 PBE+U relaxed
data_Ba2MgNiMoO6
_chemical_formula_sum 'Ba4 Mg2 Ni2 Mo2 O12'
_cell_length_a 10.3247
_cell_length_b 5.9501
_cell_length_c 6.2613
_cell_angle_alpha 90.00
_cell_angle_beta 123.34
_cell_angle_gamma 90.00
_space_group_name_H-M_alt 'C 1 m 1'
_space_group_IT_number 8
_space_group_name_Hall 'C -2y'
loop_
_atom_site_label
_atom_site_fract_x
_atom_site_fract_y
_atom_site_fract_z
Ba1 0.0000 0.0000 0.0000
Ba2 0.0422 0.5000 0.6267
Mg1 0.3276 0.0000 0.9829
Ni1 0.1767 0.0000 0.5316
Mo1 0.2761 0.5000 0.3284
O1 0.0023 0.0000 0.5511
O2 0.0429 0.5000 0.0967
O3 0.2753 0.2662 0.0950
O4 0.2752 0.2719 0.5540
# Total magnetic moment (μB per cell): 0.0



<Q>
# Ba2MgNiMoO6 PBE+U relaxed
data_Ba2MgNiMoO6
_chemical_formula_sum 'Ba4 Mg2 Ni2 Mo2 O12'
_cell_length_a 5.7485
_cell_length_b 5.7548
_cell_length_c 10.9558
_cell_angle_alpha 90.00
_cell_angle_beta 90.00
_cell_angle_gamma 90.00
_space_group_name_H-M_alt 'I m m m'
_space_group_IT_number 71
_space_group_name_Hall '-I 2 2'
loop_
_atom_site_label
_atom_site_fract_x
_atom_site_fract_y
_atom_site_fract_z
Ba1 0.0000 0.0000 0.1743
Mg1 0.0000 0.0000 0.5000
Ni1 0.0000 0.5000 0.5000
Mo1 0.0000 0.5000 0.0000
O1 0.0000 0.5000 0.1777
O2 0.2456 0.2474 0.5000
# Total magnetic moment (μB per cell): 4.0



Most stable one: <Q>, least stable one: <P>.



<P>
# Ba2MgMo4Se4O22 PBE+U relaxed
data_Ba2MgMo4Se4O22
_chemical_formula_sum 'Ba2 Mg1 Mo4 Se4 O22'
_cell_length_a 8.0581
_cell_length_b 8.1206
_cell_length_c 9.0616
_cell_angle_alpha 89.55
_cell_angle_beta 64.81
_cell_angle_gamma 89.84
_space_group_name_H-M_alt 'P 1'
_space_group_IT_number 1
_space_group_name_Hall 'P 1'
loop_
_atom_site_label
_atom_site_fract_x
_atom_site_fract_y
_atom_site_fract_z
Ba1 0.0000 0.0000 0.0000
Ba2 0.4539 0.5069 0.0433
Mg1 0.7127 0.1080 0.3779
Mo1 0.0643 0.4945 0.8234
Mo2 0.3656 0.0018 0.2601
Mo3 0.5879 0.0049 0.8227
Mo4 0.8466 0.5104 0.2591
Se1 0.1055 0.3577 0.4539
Se2 0.3447 0.8354 0.6217
Se3 0.5127 0.3678 0.6208
Se4 0.9412 0.8530 0.4409
O1 0.0488 0.5544 0.0287
O2 0.0628 0.0193 0.3247
O3 0.0750 0.2793 0.8387
O4 0.0877 0.5055 0.3229
O5 0.1372 0.7593 0.7622
O6 0.1866 0.4856 0.5647
O7 0.2619 0.9567 0.5080
O8 0.3099 0.2672 0.3209
O9 0.3467 0.7978 0.2072
O10 0.3687 0.9985 0.7363
O11 0.3713 0.5027 0.7632
O12 0.4244 0.0854 0.0244
O13 0.5515 0.7930 0.8588
O14 0.6002 0.2608 0.7374
O15 0.6064 0.0342 0.2366
O16 0.6646 0.5641 0.2110
O17 0.6965 0.4985 0.5128
O18 0.7341 0.9674 0.5490
O19 0.8013 0.0302 0.8285
O20 0.8381 0.5274 0.8524
O21 0.8676 0.2791 0.2428
O22 0.8808 0.7754 0.2945
# Total magnetic moment (μB per cell): 2.0



<Q>
# Ba2MgMo4Se4O22 PBE+U relaxed
data_Ba2MgMo4Se4O22
_chemical_formula_sum 'Ba4 Mg2 Mo8 Se8 O44'
_cell_length_a 8.3572
_cell_length_b 16.0417
_cell_length_c 7.9748
_cell_angle_alpha 90.00
_cell_angle_beta 93.69
_cell_angle_gamma 90.00
_space_group_name_H-M_alt 'C 1 m 1'
_space_group_IT_number 8
_space_group_name_Hall 'C -2y'
loop_
_atom_site_label
_atom_site_fract_x
_atom_site_fract_y
_atom_site_fract_z
Ba1 0.0000 0.0000 0.0000
Ba2 0.1225 0.5000 0.4515
Mg1 0.3483 0.0000 0.7514
Mo1 0.0337 0.3918 0.9784
Mo2 0.0529 0.1083 0.4936
Se1 0.1983 0.2849 0.3277
Se2 0.3626 0.2930 0.8322
O1 0.0056 0.2660 0.9519
O2 0.0583 0.3563 0.2429
O3 0.0614 0.4190 0.7617
O4 0.0626 0.0921 0.2763
O5 0.0826 0.2365 0.4744
O6 0.1189 0.5000 0.0747
O7 0.2492 0.0819 0.5854
O8 0.2923 0.3535 0.9931
O9 0.2973 0.3547 0.4636
O10 0.3244 0.0806 0.9727
O11 0.4484 0.5000 0.5444
O12 0.4922 0.3651 0.7573
# Total magnetic moment (μB per cell): 4.0



Most stable one: <P>, least stable one: <Q>.